(1)
## Na4MgV10H44O52 (GGA+U)

Data for a relaxed structure of Na4MgV10H44O52.

Lattice parameters (Å, degrees): 9.0661 11.4547 11.8386 105.27 96.59 100.80
Element x y z (fractional)
1 Na 0.7136 0.5946 0.2949
2 Na 0.2864 0.4054 0.7051
3 Na 0.5000 0.5000 0.5000
4 Na 0.5000 0.5000 0.0000
5 Mg 0.5000 0.0000 0.5000
6 V 0.0308 0.9736 0.2267
7 V 0.9692 0.0264 0.7733
8 V 0.1681 0.2572 0.2456
9 V 0.8319 0.7428 0.7544
10 V 0.8136 0.1586 0.2086
11 V 0.1864 0.8414 0.7914
12 V 0.9613 0.2352 0.0014
13 V 0.0387 0.7648 0.9986
14 V 0.1841 0.0521 0.0208
15 V 0.8159 0.9479 0.9792
16 H 0.2455 0.5958 0.1029
17 H 0.7545 0.4042 0.8971
18 H 0.7460 0.7418 0.1194
19 H 0.2540 0.2582 0.8806
20 H 0.9889 0.5913 0.1843
21 H 0.0111 0.4087 0.8157
22 H 0.6499 0.3349 0.1126
23 H 0.3501 0.6651 0.8874
24 H 0.7931 0.4572 0.4683
25 H 0.2069 0.5428 0.5317
26 H 0.5827 0.7389 0.1483
27 H 0.4173 0.2611 0.8517
28 H 0.2393 0.4649 0.1201
29 H 0.7607 0.5351 0.8799
30 H 0.9430 0.8200 0.4121
31 H 0.0570 0.1800 0.5879
32 H 0.3986 0.8575 0.2798
33 H 0.6014 0.1425 0.7202
34 H 0.2537 0.8448 0.3435
35 H 0.7463 0.1552 0.6565
36 H 0.3648 0.8645 0.1010
37 H 0.6352 0.1355 0.8990
38 H 0.6412 0.8748 0.6313
39 H 0.3588 0.1252 0.3687
40 H 0.4840 0.3206 0.1377
41 H 0.5160 0.6794 0.8623
42 H 0.4120 0.6004 0.2903
43 H 0.5880 0.3996 0.7097
44 H 0.4648 0.8453 0.6412
45 H 0.5352 0.1547 0.3588
46 H 0.7413 0.8995 0.4325
47 H 0.2587 0.1005 0.5675
48 H 0.8764 0.8085 0.5279
49 H 0.1236 0.1915 0.4721
50 H 0.6897 0.3667 0.3537
51 H 0.3103 0.6333 0.6463
52 H 0.9555 0.4620 0.2096
53 H 0.0445 0.5380 0.7904
54 H 0.5404 0.9193 0.1257
55 H 0.4596 0.0807 0.8743
56 H 0.7467 0.0041 0.3708
57 H 0.2533 0.9959 0.6292
58 H 0.4724 0.7121 0.4038
59 H 0.5276 0.2879 0.5962
60 O 0.1094 0.1490 0.9198
61 O 0.8906 0.8510 0.0802
62 O 0.8491 0.7921 0.4417
63 O 0.1509 0.2079 0.5583
64 O 0.1708 0.9308 0.1073
65 O 0.8292 0.0692 0.8927
66 O 0.2953 0.1795 0.1316
67 O 0.7047 0.8205 0.8684
68 O 0.0572 0.8805 0.3088
69 O 0.9428 0.1195 0.6912
70 O 0.5715 0.3824 0.1323
71 O 0.4285 0.6176 0.8677
72 O 0.4853 0.6284 0.3653
73 O 0.5147 0.3716 0.6347
74 O 0.7081 0.4522 0.4067
75 O 0.2919 0.5478 0.5933
76 O 0.9375 0.5462 0.2344
77 O 0.0625 0.4538 0.7656
78 O 0.8690 0.0350 0.2742
79 O 0.1310 0.9650 0.7258
80 O 0.4608 0.8587 0.1442
81 O 0.5392 0.1413 0.8558
82 O 0.6619 0.6905 0.1437
83 O 0.3381 0.3095 0.8563
84 O 0.9310 0.3278 0.9193
85 O 0.0690 0.6722 0.0807
86 O 0.3641 0.8500 0.3552
87 O 0.6359 0.1500 0.6448
88 O 0.3118 0.5419 0.1208
89 O 0.6882 0.4581 0.8792
90 O 0.9858 0.2711 0.2970
91 O 0.0142 0.7289 0.7030
92 O 0.6972 0.0081 0.0736
93 O 0.3028 0.9919 0.9264
94 O 0.9964 0.0872 0.0958
95 O 0.0036 0.9128 0.9042
96 O 0.1135 0.3312 0.1238
97 O 0.8865 0.6688 0.8762
98 O 0.1727 0.1195 0.3070
99 O 0.8273 0.8805 0.6930
100 O 0.5371 0.8707 0.5908
101 O 0.4629 0.1293 0.4092
102 O 0.2967 0.3672 0.3432
103 O 0.7034 0.6328 0.6568
104 O 0.8094 0.2441 0.0926
105 O 0.1906 0.7559 0.9074
106 O 0.6877 0.9657 0.4224
107 O 0.3123 0.0343 0.5776
108 O 0.6758 0.1979 0.2803
109 O 0.3242 0.8021 0.7197
110 O 0.1104 0.6467 0.4482
111 O 0.8896 0.3533 0.5518

Summary:
energy of formation: -1.6332 eV per atom
mass density: 2.2 Mg/m³
space group: P-1, No. 2
energy: -632.860 eV per cell

(2)
## Na3NiO2 (GGA+U)

Data for a relaxed structure of Na3NiO2.

Lattice parameters (Å, degrees): 5.5407 6.3071 10.8207 90.00 90.00 90.00
Element x y z (fractional)
1 Na 0.7222 0.2500 0.5880
2 Na 0.1383 0.5029 0.6417
3 Na 0.1383 0.9971 0.6417
4 Na 0.6383 0.4971 0.8583
5 Na 0.6383 0.0029 0.8583
6 Na 0.2222 0.7500 0.9120
7 Na 0.7778 0.2500 0.0880
8 Na 0.3617 0.9971 0.1417
9 Na 0.3617 0.5029 0.1417
10 Na 0.8617 0.4971 0.3583
11 Na 0.8617 0.0029 0.3583
12 Na 0.2778 0.7500 0.4120
13 Ni 0.6499 0.7500 0.6147
14 Ni 0.1499 0.2500 0.8853
15 Ni 0.8501 0.7500 0.1147
16 Ni 0.3501 0.2500 0.3853
17 O 0.9068 0.7500 0.5161
18 O 0.4092 0.7500 0.7251
19 O 0.9092 0.2500 0.7749
20 O 0.4068 0.2500 0.9839
21 O 0.5932 0.7500 0.0161
22 O 0.0908 0.7500 0.2251
23 O 0.5908 0.2500 0.2749
24 O 0.0932 0.2500 0.4839

Summary:
energy of formation: -1.1808 eV per atom
mass density: 2.8 Mg/m³
space group: Pnma, No. 62
energy: -91.254 eV per cell